(1)
Entry from the Materials Project: a relaxed structure of GdBO3 (GGA-PBE).

Values from the calculation:
Space group   Ama2, No. 40
V   127.0 Å³ per cell

Cell and atoms, written as POSCAR:
```
GdBO3
1.0
8.6787 0.0000 0.0000
0.0000 3.3846 2.1615
0.0000 -3.3846 2.1615
Gd B O
2 2 6
Cartesian
0.0000 0.0000 0.0000
4.3393 0.0000 0.0000
2.1697 0.9109 1.8671
6.5090 -0.9108 1.8671
0.9167 1.1689 2.4223
2.1697 0.3565 0.6093
3.4226 1.1689 2.4223
5.2561 -1.1689 2.4223
6.5090 -0.3565 0.6093
7.7619 -1.1689 2.4223
```

(2)
Entry from the Materials Project: a relaxed structure of NaMg14Zn (GGA-PBE).

Values from the calculation:
Magnetic moment   0.0000 μB/atom
Space group   P-6m2, No. 187
V   363.7 Å³ per cell

Cell and atoms, written as POSCAR:
```
NaMg14Zn
1.0
6.3778 0.0000 0.0000
-3.1889 5.5233 0.0000
0.0000 0.0000 10.3233
Na Mg Zn
1 14 1
Cartesian
0.0000 0.0000 0.0000
-1.5843 2.7675 0.0000
0.0000 1.8333 2.6534
0.0000 1.8333 7.6699
-1.6012 4.6067 2.6534
-1.6012 4.6067 7.6699
1.5844 2.7675 0.0000
0.0000 5.5117 0.0000
3.1889 0.0103 5.1616
1.6033 2.7565 5.1616
3.1889 1.8411 2.5626
3.1889 1.8411 7.7607
1.6012 4.6067 2.6534
1.6012 4.6067 7.6699
4.7744 2.7565 5.1616
0.0000 0.0000 5.1616
```

(3)
Entry from the Materials Project: a relaxed structure of Na30Ta20Zn4Si33S3O144 (GGA-PBE).

Values from the calculation:
Magnetic moment   0.0000 μB/atom
Space group   P1, No. 1
V   3184.0 Å³ per cell

Cell and atoms, written as POSCAR:
```
Na30Ta20Zn4Si33S3O144
1.0
9.0417 0.0000 0.0000
0.0060 15.6257 0.0000
0.0384 0.0162 22.5360
Na Ta Zn Si S O
30 20 4 33 3 144
Cartesian
0.0000 0.0000 0.0000
9.0581 10.8502 7.4680
0.1117 5.3047 7.4337
0.1786 10.3719 15.1365
0.4626 0.2445 7.4827
1.5491 8.0789 1.8685
1.6911 7.9330 13.2677
1.7239 2.7994 5.5723
1.7329 13.2563 9.5307
1.7607 2.8878 16.8833
1.8009 13.3038 20.6979
2.6966 5.5528 3.8897
2.7487 10.7966 11.3961
3.1991 5.3314 18.7082
3.1936 10.3353 3.9240
3.2432 15.5095 11.3387
3.3144 10.8057 18.7245
4.3314 8.3577 15.1705
5.0297 13.3988 15.2372
6.0894 5.5597 9.4240
6.0933 0.2758 1.8739
6.1267 10.7693 5.7069
6.2251 10.6257 16.9668
6.2361 5.6294 20.6705
6.2443 0.4040 13.3214
7.7451 13.1029 18.7082
7.8690 3.0171 18.7060
8.0309 13.5754 11.4020
8.0639 8.3481 3.8636
8.8551 0.4754 15.0798
1.6270 2.9785 13.5899
1.6625 13.2133 17.3757
1.6413 2.8178 2.3780
1.6608 8.0340 9.8321
1.6779 8.0594 21.1364
1.7117 2.8820 20.2154
1.6881 13.2543 6.1134
1.6890 13.2607 1.3826
1.7182 2.8957 8.8996
6.1154 10.6403 8.9080
6.1576 0.2689 21.0881
6.1433 5.3801 12.5825
6.1817 5.3760 17.4112
6.1880 10.7449 13.5487
6.1861 0.2388 5.0937
6.1838 5.3769 6.1681
6.2183 10.6560 20.2286
6.2045 0.3045 9.8736
6.2208 10.7897 2.2686
6.2280 5.3685 1.2855
1.5587 8.0941 5.3704
1.5713 13.1921 12.6629
1.7781 8.0403 16.5932
6.2704 0.3193 16.5775
0.3307 10.2588 18.6893
0.3191 11.0161 3.7431
0.3492 0.6391 11.2616
0.3458 5.1493 11.2062
0.3741 5.8564 18.7367
0.3610 15.5174 3.7416
2.9340 5.1338 0.0425
2.9764 10.2983 7.4288
2.9828 5.8423 7.4202
2.9919 10.9884 14.9271
2.9890 0.6118 0.0171
3.5615 5.4548 14.9968
3.5454 10.6469 0.0069
3.6055 0.2557 7.4985
4.2516 2.8400 11.2839
4.2742 13.2805 3.7362
4.3328 8.0900 18.7382
4.8513 2.4583 18.7110
4.8778 13.6318 18.7079
4.8745 12.9855 11.2313
4.8747 8.4021 11.2788
4.8731 3.2038 3.7320
7.4575 13.6163 7.4973
7.4939 2.4846 7.4811
7.5027 3.1860 14.9951
7.4947 8.4091 0.0340
7.5547 12.9973 22.4692
8.0431 8.0849 7.4532
8.0627 13.3035 14.9392
8.1294 2.8519 22.5091
8.7871 5.4562 3.7239
8.8006 10.6265 11.1997
8.8663 0.2829 18.7385
2.9466 15.5723 14.9796
4.9206 7.6989 3.7164
7.4592 7.6875 14.9665
0.0491 13.0831 16.2732
0.0534 7.7928 8.6979
0.0466 2.6105 1.2513
0.0639 13.5095 7.3639
0.0810 2.6759 7.6030
0.1005 8.3024 22.3839
0.0890 13.1623 0.0884
0.1299 3.0643 14.8877
0.4948 9.5107 17.2929
0.6252 4.2303 9.8764
0.6223 11.9264 5.0947
0.6581 6.7852 20.0702
0.6688 1.5582 12.5956
0.6733 11.9510 11.2086
0.6639 4.0932 3.6198
0.6695 14.6420 2.3925
0.6890 6.7626 3.7241
0.7067 9.2944 11.0891
0.7221 14.5172 18.5902
0.7906 1.5831 19.0220
0.9734 4.3137 19.0036
0.9503 11.8756 2.4824
0.9763 1.4312 9.9483
1.0058 14.7930 5.0739
1.0394 4.4020 12.5140
1.0329 9.5744 3.7075
1.0424 14.8115 11.2511
1.0653 11.8053 18.5939
1.0532 1.3754 3.6180
1.0729 6.5984 11.0794
1.1088 9.5790 19.9689
1.1977 6.3673 17.4719
2.2221 1.2727 14.9613
2.2163 11.7935 7.3678
2.2463 9.5900 8.7394
2.2438 6.3294 6.0790
2.2432 14.7820 0.1213
2.2941 6.6228 22.3885
2.3040 1.3729 21.2862
2.2890 4.3902 1.3543
2.3077 4.3453 7.6989
2.3276 9.5284 15.0621
2.3307 14.8571 16.1696
2.4374 11.6936 13.6066
2.5844 1.5540 7.6427
2.6060 14.5804 7.3380
2.6571 9.3397 22.3687
2.6161 11.9935 0.1576
2.6644 6.7852 8.7295
2.6888 6.7872 15.0118
2.6676 1.5430 1.3250
2.6971 4.0552 14.8552
2.7017 4.2284 21.2478
2.7051 14.8216 13.7394
2.7216 11.9826 16.2811
2.8105 9.5022 6.0507
3.2357 13.4352 18.6140
3.2346 3.1434 3.6325
3.2473 8.3480 11.0989
3.2709 2.8335 18.9688
3.2668 2.5951 12.5558
3.3006 7.8014 19.9949
3.2771 13.0198 5.0207
3.2947 13.1593 11.3030
3.3016 3.0623 9.9681
3.3093 13.4692 2.4300
3.4712 7.8539 3.7843
3.5820 8.5243 17.3897
4.3848 0.1052 15.1506
4.5192 0.0602 8.8537
4.5499 10.8846 21.2396
4.5306 10.4790 1.3340
4.5582 5.2978 16.3395
4.5727 10.5548 7.7006
4.5803 0.4668 6.2125
4.5640 5.3090 0.2120
4.6374 0.4696 22.3594
4.6195 5.6763 7.3219
4.6365 5.5922 13.7417
4.6874 10.8792 14.9098
5.0507 1.6171 17.4002
5.1429 1.4783 11.1282
5.1385 11.8657 3.6102
5.1591 9.3718 12.6036
5.1716 4.2029 5.0227
5.2278 14.6053 20.0059
5.2198 4.1540 11.3995
5.2464 6.7156 18.6035
5.2192 6.8819 2.5182
5.2451 11.9802 10.0098
5.2390 14.5768 3.8808
5.3096 9.3882 19.0300
5.4824 12.1060 18.9934
5.5013 3.9837 2.4391
5.5073 7.0729 4.9371
5.5240 9.1570 9.9917
5.5637 6.9395 11.4496
5.5626 1.7412 3.8969
5.5847 3.9947 18.6383
5.5855 12.2573 12.5812
5.5767 9.0568 3.6428
5.6181 1.8055 20.0336
5.6209 14.1234 17.3839
5.6630 14.4204 11.1306
6.7614 9.0419 14.9056
6.7786 6.9424 0.1864
6.8141 14.3770 6.2084
6.8256 1.7959 8.8038
6.8600 9.2007 21.2989
6.8364 12.2215 1.2503
6.8490 3.9977 7.3518
6.8853 14.4808 22.3889
6.8800 7.0525 16.1858
6.8857 1.7217 14.9851
6.8792 12.0986 7.6317
6.9441 4.0868 13.7344
7.0213 14.5232 15.0902
7.0873 9.3826 7.7261
7.1305 6.9143 13.7583
7.1380 6.7039 7.3433
7.1341 4.1661 0.1044
7.1609 9.3428 1.3646
7.1998 4.1155 16.3484
7.2279 1.4969 22.3692
7.2250 12.0821 21.1745
7.2097 14.5872 8.8135
7.2255 11.8232 14.9091
7.2258 1.5250 6.2042
7.7053 10.8434 3.6156
7.7204 5.6258 2.4779
7.7522 0.4948 11.1142
7.7737 5.6331 18.5994
7.7870 10.6301 18.9608
7.7797 5.3159 11.4138
7.7708 0.0469 3.8959
7.7905 10.8053 9.9288
7.8117 5.3130 5.0716
7.8337 10.4572 12.5606
7.8831 15.6280 20.0505
8.0740 0.6749 17.4040
8.7986 8.4748 6.0904
8.9052 7.8977 15.0287
8.9300 13.5735 13.6209
9.0349 3.0751 21.1798
```

(4)
Entry from the Materials Project: a relaxed structure of CaAcIn2 (GGA-PBE).

Values from the calculation:
Space group   Fm-3m, No. 225
V   129.1 Å³ per cell

Cell and atoms, written as POSCAR:
```
CaAcIn2
1.0
0.0000 4.0113 4.0113
4.0113 0.0000 4.0113
4.0113 4.0113 0.0000
Ca Ac In
1 1 2
Cartesian
0.0000 0.0000 0.0000
4.0113 4.0113 4.0113
2.0056 2.0056 2.0056
6.0169 6.0169 6.0169
```

(5)
Entry from the Materials Project: a relaxed structure of CuH5N2Cl3 (GGA-PBE).

Values from the calculation:
Magnetic moment   0.0924 μB/atom
Space group   Pnma, No. 62
V   591.9 Å³ per cell

Cell and atoms, written as POSCAR:
```
CuH5N2Cl3
1.0
14.5967 0.0000 0.0000
0.0000 5.6771 0.0000
0.0000 0.0000 7.1428
Cu H N Cl
4 20 8 12
Cartesian
0.6724 1.4193 1.0578
6.6260 4.2578 4.6292
7.9707 1.4193 2.5136
13.9244 4.2578 6.0850
1.0016 3.4203 4.2722
1.0016 5.0954 4.2722
2.4660 3.4060 6.0723
2.4660 5.1096 6.0723
3.1298 4.2578 4.7441
4.1686 1.4193 1.1727
4.8323 0.5675 2.5009
4.8323 2.2711 2.5009
6.2967 0.5818 0.7008
6.2967 2.2568 0.7008
8.3000 3.4203 6.4420
8.3000 5.0954 6.4420
9.7644 3.4060 4.6419
9.7644 5.1096 4.6419
10.4281 4.2578 5.9701
11.4670 1.4193 2.3987
12.1307 0.5675 1.0705
12.1307 2.2711 1.0705
13.5951 0.5818 2.8706
13.5951 2.2568 2.8706
1.0461 4.2578 4.8774
2.3648 4.2578 5.4743
4.9336 1.4193 1.9029
6.2523 1.4193 1.3060
8.3445 4.2578 5.8368
9.6631 4.2578 5.2399
12.2320 1.4193 1.6685
13.5506 1.4193 2.2654
0.5720 4.2578 0.8741
1.7744 1.4193 3.0860
2.6327 1.4193 6.9385
4.6656 4.2578 3.3671
5.5239 4.2578 6.6574
6.7264 1.4193 4.4455
7.8704 4.2578 2.6972
9.0728 1.4193 0.4854
9.9311 1.4193 3.7757
11.9640 4.2578 0.2043
12.8223 4.2578 4.0568
14.0248 1.4193 6.2686
```

(6)
Entry from the Materials Project: a relaxed structure of NaCaHfBiO6 (GGA-PBE).

Values from the calculation:
Magnetic moment   0.0000 μB/atom
Space group   F-43m, No. 216
V   141.8 Å³ per cell

Cell and atoms, written as POSCAR:
```
NaCaHfBiO6
1.0
0.0000 4.1386 4.1386
4.1386 0.0000 4.1386
4.1386 4.1386 0.0000
Na Ca Hf Bi O
1 1 1 1 6
Cartesian
0.0000 0.0000 0.0000
4.1386 4.1386 4.1386
6.2080 6.2080 6.2080
2.0693 2.0693 2.0693
6.2080 6.2080 4.1589
6.2080 4.1589 6.2080
8.2570 6.2080 6.2080
4.1589 6.2080 6.2080
6.2080 8.2570 6.2080
6.2080 6.2080 8.2570
```

(7)
Entry from the Materials Project: a relaxed structure of ScAsO3 (GGA-PBE).

Values from the calculation:
Magnetic moment   0.0105 μB/atom
Space group   Pm-3m, No. 221
V   61.3 Å³ per cell

Cell and atoms, written as POSCAR:
```
ScAsO3
1.0
3.9420 0.0000 0.0000
0.0000 3.9420 0.0000
0.0000 0.0000 3.9420
Sc As O
1 1 3
Cartesian
0.0000 0.0000 0.0000
1.9710 1.9710 1.9710
0.0000 1.9710 1.9710
1.9710 0.0000 1.9710
1.9710 1.9710 0.0000
```

(8)
Entry from the Materials Project: a relaxed structure of U3H2O10 (GGA-PBE).

Values from the calculation:
Energy above the most stable polymorph in this dataset   35 meV per atom
Magnetic moment   0.0001 μB/atom
Space group   P1, No. 1
V   216.1 Å³ per cell

Cell and atoms, written as POSCAR:
```
U3H2O10
1.0
5.5702 0.0000 0.0000
1.7056 5.6466 0.0000
2.2689 1.4918 6.8698
U H O
3 2 10
Cartesian
0.0000 0.0000 0.0000
3.1431 5.7163 3.3967
5.4931 3.5912 5.0971
3.8199 3.8622 1.3012
3.9890 1.0550 2.4405
3.7109 2.4774 6.1107
3.0826 4.4857 1.4509
4.4112 5.4256 5.3645
3.0148 1.0667 2.6967
4.5365 3.6814 3.4732
6.4286 3.5125 6.7387
5.8640 4.7163 0.6218
7.2544 4.6816 4.1747
6.5559 1.7540 4.8196
5.7084 0.9387 2.0817
```

(9)
Entry from the Materials Project: a relaxed structure of Na3Pr (GGA-PBE).

Values from the calculation:
Magnetic moment   0.0001 μB/atom
Space group   I4/mmm, No. 139
V   143.5 Å³ per cell

Cell and atoms, written as POSCAR:
```
Na3Pr
1.0
-2.5476 2.5476 5.5276
2.5476 -2.5476 5.5276
2.5476 2.5476 -5.5276
Na Pr
3 1
Cartesian
0.0000 0.0000 0.0000
2.5476 0.0000 2.7638
0.0000 2.5476 2.7638
0.0000 0.0000 5.5276
```

Number 1: formation energy from the elements -3425.9 meV/atom. Number 2: formation energy from the elements 28.0 meV/atom. Number 3: formation energy from the elements -2960.2 meV/atom. Number 4: formation energy from the elements -443.6 meV/atom. Number 5: formation energy from the elements -581.1 meV/atom. Number 6: formation energy from the elements -2549.6 meV/atom. Number 7: formation energy from the elements -1751.9 meV/atom. Number 8: formation energy from the elements -3074.2 meV/atom. Number 9: formation energy from the elements 315.3 meV/atom.